(w)
A relaxed LiNi3O4 crystal, computed with r2SCAN. Values from VASP.

```
&SYSTEM
  ibrav = 0, nat = 16, ntyp = 3
/
ATOMIC_SPECIES
Li 6.94 Li.upf
Ni 58.69 Ni.upf
O 16.00 O.upf
ATOMIC_POSITIONS crystal
Li 0.500 0.500 0.500
Li 0.000 0.500 0.500
Ni 0.000 0.500 0.000
Ni 0.500 0.000 0.000
Ni 0.500 0.000 0.500
Ni 0.500 0.500 0.000
Ni 0.000 0.000 0.000
Ni 0.000 0.000 0.500
O 0.274 0.499 0.761
O 0.749 0.501 0.783
O 0.726 0.501 0.239
O 0.251 0.499 0.217
O 0.755 0.991 0.745
O 0.231 0.037 0.769
O 0.245 0.009 0.255
O 0.769 0.963 0.231
CELL_PARAMETERS angstrom
0.005 -3.030 4.937
1.663 -5.575 -0.012
3.378 4.076 2.466
```

(x)
A relaxed LiNi3O4 crystal, computed with r2SCAN. Values from VASP.

```
&SYSTEM
  ibrav = 0, nat = 16, ntyp = 3
/
ATOMIC_SPECIES
Li 6.94 Li.upf
Ni 58.69 Ni.upf
O 16.00 O.upf
ATOMIC_POSITIONS crystal
Li 0.000 0.500 0.250
Li 0.000 0.500 0.750
Ni 0.500 0.000 0.750
Ni 0.000 0.000 0.500
Ni 0.500 0.500 0.000
Ni 0.500 0.000 0.250
Ni 0.000 0.000 0.000
Ni 0.500 0.500 0.500
O 0.280 0.780 0.000
O 0.280 0.780 0.500
O 0.720 0.220 0.000
O 0.720 0.220 0.500
O 0.754 0.747 0.250
O 0.753 0.746 0.750
O 0.246 0.253 0.250
O 0.247 0.254 0.750
CELL_PARAMETERS angstrom
-0.646 -3.857 3.203
-4.230 0.659 -2.689
1.967 -3.639 -3.986
```

Energetically preferred structure: (w) | next structure: +5 meV per atom

(w)
A relaxed Li2O crystal, computed with r2SCAN. Values from VASP.

```
&SYSTEM
  ibrav = 0, nat = 3, ntyp = 2
/
ATOMIC_SPECIES
Li 6.94 Li.upf
O 16.00 O.upf
ATOMIC_POSITIONS crystal
Li 0.750 0.750 0.750
Li 0.250 0.250 0.250
O 0.000 0.000 0.000
CELL_PARAMETERS angstrom
0.910 2.783 1.502
2.834 0.119 1.668
2.527 1.752 -1.172
```

(x)
A relaxed Li2O crystal, computed with r2SCAN. Values from VASP.

```
&SYSTEM
  ibrav = 0, nat = 12, ntyp = 2
/
ATOMIC_SPECIES
Li 6.94 Li.upf
O 16.00 O.upf
ATOMIC_POSITIONS crystal
Li 0.012 0.250 0.159
Li 0.141 0.250 0.580
Li 0.359 0.750 0.080
Li 0.488 0.750 0.659
Li 0.512 0.250 0.341
Li 0.641 0.250 0.920
Li 0.859 0.750 0.420
Li 0.988 0.750 0.841
O 0.246 0.750 0.400
O 0.254 0.250 0.900
O 0.746 0.750 0.100
O 0.754 0.250 0.600
CELL_PARAMETERS angstrom
-3.572 -0.229 3.555
0.105 -3.078 -0.093
4.103 0.015 4.123
```

Energetically preferred structure: (w) | next structure: +84 meV per atom

(w)
A relaxed Sr2LiYbUO6 crystal, computed with r2SCAN. Values from VASP.

```
&SYSTEM
  ibrav = 0, nat = 11, ntyp = 5
/
ATOMIC_SPECIES
Sr 87.62 Sr.upf
Li 6.94 Li.upf
Yb 173.04 Yb.upf
U 238.03 U.upf
O 16.00 O.upf
ATOMIC_POSITIONS crystal
Sr 0.693 0.693 0.807
Sr 0.307 0.307 0.193
Li 0.000 0.000 0.500
Yb 0.500 0.500 0.500
U 0.000 0.000 0.000
O 0.747 0.747 0.253
O 0.253 0.253 0.747
O 0.748 0.252 0.749
O 0.252 0.748 0.251
O 0.252 0.748 0.749
O 0.748 0.252 0.251
CELL_PARAMETERS angstrom
-4.581 -4.298 0.025
-4.581 0.025 -4.298
0.000 -4.273 -4.273
```

(x)
A relaxed Sr2LiYbUO6 crystal, computed with r2SCAN. Values from VASP.

```
&SYSTEM
  ibrav = 0, nat = 11, ntyp = 5
/
ATOMIC_SPECIES
Sr 87.62 Sr.upf
Li 6.94 Li.upf
Yb 173.04 Yb.upf
U 238.03 U.upf
O 16.00 O.upf
ATOMIC_POSITIONS crystal
Sr 0.694 0.694 0.918
Sr 0.220 0.220 0.341
Li 0.869 0.869 0.392
Yb 0.501 0.501 0.496
U 0.018 0.018 0.946
O 0.758 0.758 0.232
O 0.258 0.258 0.705
O 0.778 0.258 0.705
O 0.252 0.758 0.232
O 0.258 0.778 0.705
O 0.758 0.252 0.232
CELL_PARAMETERS angstrom
5.625 1.882 0.464
1.841 4.683 -3.174
0.990 5.629 3.303
```

Energetically preferred structure: (x) | next structure: +12 meV per atom